1.
! BaMg6AlO8 (PBE-GGA, optimized geometry); values from VASP
! - SG = P4/mmm, No. 123
! - density (g/cm³) = 3.7
! - E_form (eV/atom) = -2.50
&SYSTEM
  ibrav = 0, nat = 16, ntyp = 4
/
ATOMIC_SPECIES
O 16.00 O.upf
Mg 24.30 Mg.upf
Ba 137.33 Ba.upf
Al 26.98 Al.upf
ATOMIC_POSITIONS angstrom
O -2.8598 -3.7833 5.3544
O -0.6143 -1.8955 4.5860
O -1.0715 -0.1634 1.8695
O -3.3071 -0.5043 5.7700
O -3.4824 -2.0764 2.9263
O -0.9549 -3.4928 2.0308
O -1.2931 -1.7425 -0.8934
O 1.5750 -1.5617 0.7662
Mg -4.5059 -2.2324 4.7121
Mg 0.4092 -1.7394 2.8002
Mg -2.1893 -0.3339 3.8198
Mg -2.4589 -1.9203 1.1405
Mg -1.9074 -3.6380 3.6926
Mg -1.6378 -2.0516 6.3718
Ba 0.2820 -3.3042 -0.1272
Al 0.0000 0.0000 0.0000
CELL_PARAMETERS angstrom
-4.3786 -0.6677 7.6395
-2.5861 -3.4850 -1.7869
3.1500 -3.1233 1.5325


2.
! PrRe2O8 (PBE-GGA, optimized geometry); values from VASP
! - SG = P-3, No. 147
! - density (g/cm³) = 4.8
! - E_form (eV/atom) = -2.51
&SYSTEM
  ibrav = 0, nat = 11, ntyp = 3
/
ATOMIC_SPECIES
O 16.00 O.upf
Pr 140.91 Pr.upf
Re 186.21 Re.upf
ATOMIC_POSITIONS angstrom
O -1.0403 0.4737 6.8966
O -1.6892 -2.4465 5.6988
O 0.2499 -4.4654 4.9339
O -3.0468 2.0108 3.2571
O 0.8832 -1.6513 4.6164
O -1.1076 -0.0081 2.4923
O -1.7566 -2.9283 1.2945
O -3.6801 -0.8033 3.5747
Pr 1.2352 0.0581 2.9783
Re -2.8460 0.3888 2.5427
Re 0.0491 -2.8434 5.6484
CELL_PARAMETERS angstrom
-4.7246 3.6687 1.8879
-0.5426 -6.2394 0.3467
2.4703 0.1162 5.9565


3.
! EuAgSb (PBE-GGA, optimized geometry); values from VASP
! - SG = P6_3/mmc, No. 194
! - density (g/cm³) = 7.7
! - E_form (eV/atom) = -0.81
&SYSTEM
  ibrav = 0, nat = 6, ntyp = 3
/
ATOMIC_SPECIES
Sb 121.76 Sb.upf
Eu 151.96 Eu.upf
Ag 107.87 Ag.upf
ATOMIC_POSITIONS angstrom
Sb -2.4008 1.3861 -6.2151
Sb -2.4008 -1.3861 -2.0717
Eu 0.0000 0.0000 -4.1434
Eu 0.0000 0.0000 0.0000
Ag -2.4008 1.3861 -2.0717
Ag -2.4008 -1.3861 -6.2151
CELL_PARAMETERS angstrom
-2.4008 -4.1583 0.0000
-2.4008 4.1583 0.0000
0.0000 0.0000 -8.2868


4.
! La3SiPd5 (PBE-GGA, optimized geometry); values from VASP
! - SG = Imma, No. 74
! - density (g/cm³) = 8.4
! - E_form (eV/atom) = -0.90
&SYSTEM
  ibrav = 0, nat = 18, ntyp = 3
/
ATOMIC_SPECIES
Si 28.09 Si.upf
La 138.91 La.upf
Pd 106.42 Pd.upf
ATOMIC_POSITIONS angstrom
Si -1.6759 4.2916 2.0220
Si -1.3759 -0.6797 5.0904
La 1.2083 2.7168 6.8640
La 0.4120 1.0998 3.2677
La -4.2601 0.8952 0.2483
La 0.1595 6.6733 3.1182
La -3.2113 -3.0614 3.9942
La -3.4638 2.5121 3.8447
Pd 0.7866 -0.2256 6.3052
Pd -0.4217 3.8417 4.1628
Pd -3.8384 3.8375 0.8072
Pd -4.0687 -2.2620 1.2061
Pd -1.4845 1.6895 5.9470
Pd -3.5544 -1.5923 -1.7513
Pd 0.6880 4.0094 1.2993
Pd -2.6301 -0.2298 2.9496
Pd 1.0169 5.8739 5.9063
Pd -1.5673 1.9225 1.1653
CELL_PARAMETERS angstrom
2.6810 -1.2221 8.0165
1.3760 8.0187 2.5985
-7.1088 -3.1847 -3.5026